# VPO5 (PBE with a Hubbard U, optimized geometry)
# E, eV per atom: -7.36
# Offset from the most stable computed form, eV/atom: 0.009
data_VPO5
_chemical_formula_sum 'V2 P2 O10'
_cell_length_a 5.1829
_cell_length_b 5.1829
_cell_length_c 7.5100
_cell_angle_alpha 105.26
_cell_angle_beta 105.26
_cell_angle_gamma 97.11
_space_group_name_H-M_alt 'P 1'
_space_group_IT_number 1
_space_group_name_Hall 'P 1'
loop_
_atom_site_label
_atom_site_fract_x
_atom_site_fract_y
_atom_site_fract_z
V1 0.2313 0.7687 0.5000
V2 0.7687 0.2313 0.0000
P1 0.6348 0.7850 0.2117
P2 0.7850 0.6348 0.7117
O1 0.0446 0.3420 0.1821
O2 0.3420 0.0446 0.6821
O3 0.4546 0.8422 0.3444
O4 0.4766 0.5541 0.5902
O5 0.5541 0.4766 0.0902
O6 0.5771 0.9584 0.0713
O7 0.8422 0.4546 0.8444
O8 0.8671 0.9419 0.8274
O9 0.9419 0.8671 0.3274
O10 0.9584 0.5771 0.5713

---

# V3OF11 (PBE with a Hubbard U, optimized geometry)
# E, eV per atom: -5.72
# Offset from the most stable computed form, eV/atom: 0.007
data_V3OF11
_chemical_formula_sum 'V6 O2 F22'
_cell_length_a 5.2595
_cell_length_b 5.4618
_cell_length_c 14.7385
_cell_angle_alpha 79.72
_cell_angle_beta 90.00
_cell_angle_gamma 89.80
_space_group_name_H-M_alt 'P 1'
_space_group_IT_number 1
_space_group_name_Hall 'P 1'
loop_
_atom_site_label
_atom_site_fract_x
_atom_site_fract_y
_atom_site_fract_z
V1 0.0000 0.0000 0.0000
V2 0.0084 0.3446 0.3342
V3 0.4752 0.1257 0.6699
V4 0.5000 0.5000 0.0000
V5 0.5248 0.8743 0.3301
V6 0.9916 0.6554 0.6658
O1 0.2965 0.8745 0.6896
O2 0.7035 0.1255 0.3104
F1 0.0771 0.3701 0.2153
F2 0.0882 0.0421 0.8825
F3 0.0877 0.7170 0.5489
F4 0.1967 0.6886 0.0248
F5 0.2088 0.3559 0.6914
F6 0.2125 0.0287 0.3576
F7 0.2939 0.5262 0.3574
F8 0.3030 0.1888 0.0252
F9 0.4060 0.8634 0.2184
F10 0.4127 0.5408 0.8824
F11 0.4267 0.2261 0.5502
F12 0.5733 0.7739 0.4498
F13 0.5873 0.4592 0.1176
F14 0.5940 0.1366 0.7816
F15 0.6970 0.8112 0.9748
F16 0.7061 0.4738 0.6426
F17 0.7875 0.9713 0.6424
F18 0.7912 0.6441 0.3086
F19 0.8033 0.3114 0.9752
F20 0.9123 0.2830 0.4511
F21 0.9118 0.9579 0.1175
F22 0.9229 0.6299 0.7847

---

Question: Among the records above, which one has the lowest E?
Answer: VPO5

---

Copy entry 2 word for word.
# V3OF11 (PBE with a Hubbard U, optimized geometry)
# E, eV per atom: -5.72
# Offset from the most stable computed form, eV/atom: 0.007
data_V3OF11
_chemical_formula_sum 'V6 O2 F22'
_cell_length_a 5.2595
_cell_length_b 5.4618
_cell_length_c 14.7385
_cell_angle_alpha 79.72
_cell_angle_beta 90.00
_cell_angle_gamma 89.80
_space_group_name_H-M_alt 'P 1'
_space_group_IT_number 1
_space_group_name_Hall 'P 1'
loop_
_atom_site_label
_atom_site_fract_x
_atom_site_fract_y
_atom_site_fract_z
V1 0.0000 0.0000 0.0000
V2 0.0084 0.3446 0.3342
V3 0.4752 0.1257 0.6699
V4 0.5000 0.5000 0.0000
V5 0.5248 0.8743 0.3301
V6 0.9916 0.6554 0.6658
O1 0.2965 0.8745 0.6896
O2 0.7035 0.1255 0.3104
F1 0.0771 0.3701 0.2153
F2 0.0882 0.0421 0.8825
F3 0.0877 0.7170 0.5489
F4 0.1967 0.6886 0.0248
F5 0.2088 0.3559 0.6914
F6 0.2125 0.0287 0.3576
F7 0.2939 0.5262 0.3574
F8 0.3030 0.1888 0.0252
F9 0.4060 0.8634 0.2184
F10 0.4127 0.5408 0.8824
F11 0.4267 0.2261 0.5502
F12 0.5733 0.7739 0.4498
F13 0.5873 0.4592 0.1176
F14 0.5940 0.1366 0.7816
F15 0.6970 0.8112 0.9748
F16 0.7061 0.4738 0.6426
F17 0.7875 0.9713 0.6424
F18 0.7912 0.6441 0.3086
F19 0.8033 0.3114 0.9752
F20 0.9123 0.2830 0.4511
F21 0.9118 0.9579 0.1175
F22 0.9229 0.6299 0.7847